Record 1
The following is a DFT calculation (r²SCAN) of an optimized crystal structure of TmTlTe2.

Cell: 4.4059 4.4059 8.5146 Å, 75.01 75.01 60.00°
Fractional positions:
Tl (0.0000, 0.0000, 0.0000)
Te (0.2366, 0.2366, 0.2902)
Te (0.7634, 0.7634, 0.7098)
Tm (0.5000, 0.5000, 0.5000)

Results
* calculated total energy: -36.003 eV per atom
* magnetization: 0.00 μB/atom
* ΔE_f: -1219 meV/atom


Record 2
The following is a DFT calculation (r²SCAN) of an optimized crystal structure of Tm2Te3.

Cell: 7.4591 7.4591 13.6213 Å, 100.57 100.57 109.36°
Fractional positions:
Tm (0.6255, 0.3755, 0.7513)
Tm (0.4578, 0.2076, 0.4158)
Tm (0.3745, 0.6245, 0.2487)
Tm (0.7076, 0.9578, 0.9158)
Tm (0.5422, 0.7924, 0.5842)
Tm (0.2924, 0.0422, 0.0842)
Tm (0.8755, 0.1255, 0.2513)
Tm (0.1245, 0.8745, 0.7487)
Te (0.8751, 0.1253, 0.7503)
Te (0.2948, 0.0434, 0.5846)
Te (0.9590, 0.7110, 0.9150)
Te (0.2110, 0.4591, 0.4150)
Te (0.4566, 0.2052, 0.9154)
Te (0.6253, 0.3752, 0.2503)
Te (0.7052, 0.9566, 0.4154)
Te (0.1248, 0.8747, 0.2497)
Te (0.7890, 0.5410, 0.5850)
Te (0.3747, 0.6249, 0.7497)
Te (0.5434, 0.7948, 0.0846)
Te (0.0409, 0.2890, 0.0850)

Results
* calculated total energy: -30.933 eV per atom
* magnetization: 0.00 μB/atom
* ΔE_f: -1634 meV/atom


Record 3
The following is a DFT calculation (r²SCAN) of an optimized crystal structure of TmTe3.

Cell: 4.3082 4.3183 13.2341 Å, 90.00 99.24 90.00°
Fractional positions:
Te (0.4222, 0.2500, 0.8461)
Te (0.0784, 0.2500, 0.1536)
Te (0.5778, 0.7500, 0.1539)
Te (0.9216, 0.7500, 0.8464)
Te (0.2923, 0.7500, 0.5856)
Te (0.7077, 0.2500, 0.4144)
Tm (0.1731, 0.7500, 0.3448)
Tm (0.8269, 0.2500, 0.6552)

Results
* calculated total energy: -28.825 eV per atom
* magnetization: 0.00 μB/atom
* ΔE_f: -982 meV/atom


Record 4
The following is a DFT calculation (r²SCAN) of an optimized crystal structure of TmUTe6.

Cell: 13.1982 13.1982 4.3599 Å, 90.00 90.00 160.99°
Fractional positions:
Te (0.2925, 0.7075, 0.5000)
Te (0.4249, 0.5751, 0.0000)
Te (0.7054, 0.2946, 0.0000)
Te (0.5760, 0.4240, 0.5000)
Te (0.0759, 0.9241, 0.0000)
Te (0.9248, 0.0752, 0.5000)
Tm (0.1699, 0.8301, 0.5000)
U (0.8307, 0.1693, 0.0000)

Results
* calculated total energy: -34.354 eV per atom
* magnetization: 0.32 μB/atom
* ΔE_f: -908 meV/atom


Record 5
The following is a DFT calculation (r²SCAN) of an optimized crystal structure of U2Te3.

Cell: 4.3999 12.0389 12.2259 Å, 90.11 90.00 90.01°
Fractional positions:
Te (0.7489, 0.8013, 0.2263)
Te (0.7498, 0.4457, 0.8791)
Te (0.7515, 0.3745, 0.5473)
Te (0.7493, 0.1261, 0.0472)
Te (0.7522, 0.7006, 0.7262)
Te (0.2465, 0.3000, 0.2739)
Te (0.7512, 0.0551, 0.3791)
Te (0.2469, 0.1977, 0.7748)
Te (0.2512, 0.8735, 0.9532)
Te (0.2480, 0.9449, 0.6205)
Te (0.2495, 0.6254, 0.4521)
Te (0.2505, 0.5545, 0.1207)
U (0.2513, 0.3128, 0.0125)
U (0.2524, 0.5043, 0.6947)
U (0.7494, 0.0020, 0.8046)
U (0.2527, 0.1875, 0.5132)
U (0.7473, 0.8131, 0.4864)
U (0.7498, 0.4958, 0.3048)
U (0.2491, 0.9983, 0.1957)
U (0.7522, 0.6869, 0.9879)

Results
* calculated total energy: -48.392 eV per atom
* magnetization: 0.90 μB/atom
* ΔE_f: -1164 meV/atom


Record 6
The following is a DFT calculation (r²SCAN) of an optimized crystal structure of UTe3.

Cell: 13.1401 13.1401 4.4595 Å, 90.00 90.00 160.87°
Fractional positions:
Te (0.2944, 0.7056, 0.2500)
Te (0.7056, 0.2944, 0.7500)
Te (0.9247, 0.0753, 0.2500)
Te (0.4248, 0.5752, 0.7500)
Te (0.5752, 0.4248, 0.2500)
Te (0.0753, 0.9247, 0.7500)
U (0.8321, 0.1679, 0.7500)
U (0.1679, 0.8321, 0.2500)

Results
* calculated total energy: -39.888 eV per atom
* magnetization: 0.63 μB/atom
* ΔE_f: -839 meV/atom


Record 7
The following is a DFT calculation (r²SCAN) of an optimized crystal structure of UTe3.

Cell: 4.3347 6.1683 10.5536 Å, 98.08 90.00 90.00°
Fractional positions:
Te (0.2500, 0.7668, 0.5665)
Te (0.2500, 0.4446, 0.1755)
Te (0.7500, 0.2332, 0.4335)
Te (0.7500, 0.1117, 0.8328)
Te (0.7500, 0.5554, 0.8245)
Te (0.2500, 0.8883, 0.1672)
U (0.7500, 0.7139, 0.3460)
U (0.2500, 0.2861, 0.6540)

Results
* calculated total energy: -39.860 eV per atom
* magnetization: 0.50 μB/atom
* ΔE_f: -811 meV/atom


Record 8
The following is a DFT calculation (r²SCAN) of an optimized crystal structure of V9Te8.

Cell: 7.2325 7.3884 7.8369 Å, 105.16 105.41 89.75°
Fractional positions:
Te (0.1628, 0.6822, 0.7091)
Te (0.8303, 0.3112, 0.2847)
Te (0.7138, 0.8530, 0.8875)
Te (0.2876, 0.1547, 0.6106)
Te (0.7160, 0.8423, 0.3981)
Te (0.8429, 0.3184, 0.7898)
Te (0.2856, 0.1479, 0.1109)
Te (0.1574, 0.6861, 0.2123)
V (0.5001, 0.4998, 0.2765)
V (0.7328, 0.5757, 0.0761)
V (0.4252, 0.8035, 0.5564)
V (0.4364, 0.7875, 0.0561)
V (0.5072, 0.5061, 0.7228)
V (0.2725, 0.4297, 0.9256)
V (0.5778, 0.2118, 0.9437)
V (0.5766, 0.1970, 0.4476)
V (0.2243, 0.4179, 0.4107)

Results
* calculated total energy: -19.953 eV per atom
* magnetization: 0.18 μB/atom
* ΔE_f: -533 meV/atom


Record 9
The following is a DFT calculation (r²SCAN) of an optimized crystal structure of V5Te8.

Cell: 7.4368 7.4368 7.7090 Å, 105.05 106.68 115.67°
Fractional positions:
Te (0.2935, 0.0435, 0.8346)
Te (0.7911, 0.5411, 0.8346)
Te (0.3068, 0.0128, 0.3197)
Te (0.6932, 0.9872, 0.6803)
Te (0.7769, 0.5696, 0.3465)
Te (0.2089, 0.4589, 0.1654)
Te (0.2231, 0.4304, 0.6535)
Te (0.7065, 0.9565, 0.1654)
V (0.7850, 0.2850, 0.5000)
V (0.2150, 0.7150, 0.5000)
V (0.7637, 0.2838, 0.0475)
V (0.2363, 0.7162, 0.9525)
V (0.0000, 0.0000, 0.0000)

Results
* calculated total energy: -21.612 eV per atom
* magnetization: 0.71 μB/atom
* ΔE_f: -551 meV/atom


Record 10
The following is a DFT calculation (r²SCAN) of an optimized crystal structure of V3Te4.

Cell: 3.9978 6.9160 7.2966 Å, 116.70 105.90 90.00°
Fractional positions:
Te (0.1129, 0.4525, 0.2258)
Te (0.3642, 0.0241, 0.7285)
Te (0.8871, 0.5475, 0.7742)
Te (0.6358, 0.9759, 0.2715)
V (0.7427, 0.7107, 0.4854)
V (0.2573, 0.2893, 0.5146)
V (0.0000, 0.0000, 0.0000)

Results
* calculated total energy: -21.156 eV per atom
* magnetization: 1.00 μB/atom
* ΔE_f: -593 meV/atom


Record 11
The following is a DFT calculation (r²SCAN) of an optimized crystal structure of YTe3.

Cell: 4.3372 4.3384 13.3587 Å, 90.00 99.34 90.00°
Fractional positions:
Te (0.7068, 0.7500, 0.4136)
Te (0.0756, 0.7500, 0.1512)
Te (0.5756, 0.2500, 0.1512)
Te (0.2932, 0.2500, 0.5864)
Te (0.4244, 0.7500, 0.8488)
Te (0.9244, 0.2500, 0.8488)
Y (0.8284, 0.7500, 0.6568)
Y (0.1716, 0.2500, 0.3432)

Results
* calculated total energy: -25.197 eV per atom
* magnetization: 0.00 μB/atom
* ΔE_f: -1056 meV/atom


Record 12
The following is a DFT calculation (r²SCAN) of an optimized crystal structure of YTe2.

Cell: 4.4473 4.4473 8.9158 Å, 90.00 90.00 90.00°
Fractional positions:
Te (0.5000, 0.5000, 0.0000)
Te (0.5000, 0.0000, 0.6280)
Te (0.0000, 0.0000, 0.0000)
Te (0.0000, 0.5000, 0.3720)
Y (0.5000, 0.0000, 0.2716)
Y (0.0000, 0.5000, 0.7284)

Results
* calculated total energy: -25.061 eV per atom
* magnetization: 0.00 μB/atom
* ΔE_f: -1345 meV/atom